{"formula": "Ho2AlNi2", "functional": "GGA-PBE", "state": "optimized geometry", "lattice": [[-2.0339, 2.7406, 4.1792], [2.0339, -2.7406, 4.1792], [2.0339, 2.7406, -4.1792]], "species": ["Ho", "Ho", "Al", "Ni", "Ni"], "frac_coords": [[0.2050, 0.2050, 0.0000], [0.7950, 0.7950, 0.0000], [0.5000, 0.0000, 0.5000], [0.2264, 0.5000, 0.7264], [0.7736, 0.5000, 0.2736]], "ef_ev_per_atom": -0.5568, "e_tot_ev_per_cell": -27.25}


{"formula": "Ho3Al5O12", "functional": "GGA-PBE", "state": "optimized geometry", "lattice": [[-6.0396, 6.0396, 6.0396], [6.0396, -6.0396, 6.0396], [6.0396, 6.0396, -6.0396]], "species": ["Ho", "Ho", "Ho", "Ho", "Ho", "Ho", "Ho", "Ho", "Ho", "Ho", "Ho", "Ho", "Al", "Al", "Al", "Al", "Al", "Al", "Al", "Al", "Al", "Al", "Al", "Al", "Al", "Al", "Al", "Al", "Al", "Al", "Al", "Al", "O", "O", "O", "O", "O", "O", "O", "O", "O", "O", "O", "O", "O", "O", "O", "O", "O", "O", "O", "O", "O", "O", "O", "O", "O", "O", "O", "O", "O", "O", "O", "O", "O", "O", "O", "O", "O", "O", "O", "O", "O", "O", "O", "O", "O", "O", "O", "O"], "frac_coords": [[0.1250, 0.2500, 0.3750], [0.1250, 0.3750, 0.7500], [0.2500, 0.3750, 0.1250], [0.2500, 0.8750, 0.6250], [0.3750, 0.1250, 0.2500], [0.3750, 0.7500, 0.1250], [0.6250, 0.2500, 0.8750], [0.6250, 0.8750, 0.7500], [0.7500, 0.1250, 0.3750], [0.7500, 0.6250, 0.8750], [0.8750, 0.6250, 0.2500], [0.8750, 0.7500, 0.6250], [0.0000, 0.0000, 0.0000], [0.0000, 0.0000, 0.5000], [0.0000, 0.5000, 0.0000], [0.0000, 0.5000, 0.5000], [0.1250, 0.7500, 0.8750], [0.1250, 0.8750, 0.2500], [0.2500, 0.1250, 0.8750], [0.2500, 0.6250, 0.3750], [0.3750, 0.2500, 0.6250], [0.3750, 0.6250, 0.7500], [0.5000, 0.0000, 0.0000], [0.5000, 0.0000, 0.5000], [0.5000, 0.5000, 0.0000], [0.5000, 0.5000, 0.5000], [0.6250, 0.3750, 0.2500], [0.6250, 0.7500, 0.3750], [0.7500, 0.3750, 0.6250], [0.7500, 0.8750, 0.1250], [0.8750, 0.1250, 0.7500], [0.8750, 0.2500, 0.1250], [0.0209, 0.2002, 0.1192], [0.0209, 0.3207, 0.9017], [0.0810, 0.7002, 0.6793], [0.0810, 0.8808, 0.4017], [0.0983, 0.6192, 0.4190], [0.0983, 0.9791, 0.6793], [0.1192, 0.0209, 0.2002], [0.1192, 0.5983, 0.9190], [0.1793, 0.2002, 0.5810], [0.1793, 0.4791, 0.5983], [0.2002, 0.1192, 0.0209], [0.2002, 0.5810, 0.1793], [0.2998, 0.3207, 0.9190], [0.2998, 0.4791, 0.3808], [0.3207, 0.9017, 0.0209], [0.3207, 0.9190, 0.2998], [0.3808, 0.2998, 0.4791], [0.3808, 0.5810, 0.9017], [0.4017, 0.0810, 0.8808], [0.4017, 0.8207, 0.5209], [0.4190, 0.0983, 0.6192], [0.4190, 0.8207, 0.7998], [0.4791, 0.3808, 0.2998], [0.4791, 0.5983, 0.1793], [0.5209, 0.4017, 0.8207], [0.5209, 0.6192, 0.7002], [0.5810, 0.1793, 0.2002], [0.5810, 0.9017, 0.3808], [0.5983, 0.1793, 0.4791], [0.5983, 0.9190, 0.1192], [0.6192, 0.4190, 0.0983], [0.6192, 0.7002, 0.5209], [0.6793, 0.0810, 0.7002], [0.6793, 0.0983, 0.9791], [0.7002, 0.5209, 0.6192], [0.7002, 0.6793, 0.0810], [0.7998, 0.4190, 0.8207], [0.7998, 0.8808, 0.9791], [0.8207, 0.5209, 0.4017], [0.8207, 0.7998, 0.4190], [0.8808, 0.4017, 0.0810], [0.8808, 0.9791, 0.7998], [0.9017, 0.0209, 0.3207], [0.9017, 0.3808, 0.5810], [0.9190, 0.1192, 0.5983], [0.9190, 0.2998, 0.3207], [0.9791, 0.6793, 0.0983], [0.9791, 0.7998, 0.8808]], "ef_ev_per_atom": -3.7057, "e_tot_ev_per_cell": -630.88, "corrected_energy_ev_per_atom": -8.298, "m_tot_mub_per_fu": 0.0}


What is the formula in the second record? Ho3Al5O12